1.
The following is a PBE calculation of a geometry-optimized Mg4Si3 structure, from the Materials Project database.

Results
Size of the total moment, μB/f.u.: 0.00
E_form, eV per atom: 0.5476

a b c (Å): 7.8997 13.5063 14.9268
angles (deg): 144.24 37.15 134.12
Element x y z (fractional)
1 Mg 0.4191 0.9908 0.3642
2 Mg 0.0366 0.0098 0.1509
3 Mg 0.2595 0.1163 0.7072
4 Mg 0.6420 0.5973 0.4205
5 Mg 0.2595 0.6163 0.2072
6 Mg 0.6420 0.0973 0.9205
7 Mg 0.0366 0.5098 0.6509
8 Mg 0.4191 0.4908 0.8642
9 Si 0.3394 0.3036 0.2857
10 Si 0.9364 0.3704 0.0650
11 Si 0.7421 0.2367 0.5064
12 Si 0.9364 0.8704 0.5650
13 Si 0.3394 0.8036 0.7857
14 Si 0.7421 0.7367 0.0064

2.
The following is a PBE calculation of a geometry-optimized Mg2Si3 structure, from the Materials Project database.

Results
Size of the total moment, μB/f.u.: 0.00
E_form, eV per atom: 0.1610

a b c (Å): 3.5589 6.1834 18.2437
angles (deg): 83.76 84.44 73.28
Element x y z (fractional)
1 Si 0.4844 0.2163 0.8182
2 Si 0.6831 0.0628 0.4831
3 Si 0.8111 0.2756 0.1209
4 Si 0.7367 0.1716 0.3567
5 Si 0.2260 0.6129 0.9428
6 Si 0.2570 0.8584 0.6507
7 Si 0.1036 0.4449 0.3494
8 Si 0.5988 0.1256 0.6888
9 Si 0.8296 0.4902 0.8594
10 Si 0.3476 0.2875 0.0346
11 Si 0.8708 0.7350 0.5644
12 Si 0.9826 0.8788 0.1571
13 Mg 0.0387 0.2897 0.5617
14 Mg 0.3306 0.0986 0.2462
15 Mg 0.6047 0.7407 0.0543
16 Mg 0.4088 0.7178 0.4261
17 Mg 0.9021 0.5019 0.7105
18 Mg 0.1828 0.8435 0.7995
19 Mg 0.6034 0.5734 0.2322
20 Mg 0.9973 0.0747 0.9434

3.
The following is a PBE calculation of a geometry-optimized Mg3Si4 structure, from the Materials Project database.

Results
Size of the total moment, μB/f.u.: 0.00
E_form, eV per atom: 0.1297

a b c (Å): 6.3936 6.5706 7.1686
angles (deg): 71.71 68.66 79.79
Element x y z (fractional)
1 Mg 0.5972 0.1476 0.4129
2 Mg 0.8366 0.2906 0.9015
3 Mg 0.3185 0.6546 0.4762
4 Mg 0.3567 0.2919 0.8695
5 Mg 0.0979 0.1947 0.3823
6 Mg 0.0400 0.8639 0.1760
7 Si 0.7304 0.4687 0.5268
8 Si 0.5103 0.8528 0.8595
9 Si 0.8514 0.7572 0.6071
10 Si 0.7257 0.5985 0.1727
11 Si 0.1972 0.0060 0.7393
12 Si 0.5419 0.9645 0.1389
13 Si 0.3970 0.5145 0.1159
14 Si 0.0528 0.6478 0.8680

4.
The following is a PBE calculation of a geometry-optimized Mg5Si6 structure, from the Materials Project database.

Results
Size of the total moment, μB/f.u.: 0.00
E_form, eV per atom: 0.1197

a b c (Å): 14.3332 14.3332 4.3761
angles (deg): 89.11 89.11 27.18
Element x y z (fractional)
1 Si 0.7615 0.1883 0.2529
2 Si 0.4390 0.6003 0.7467
3 Si 0.8075 0.6755 0.7488
4 Si 0.3605 0.8291 0.7359
5 Si 0.7241 0.8243 0.2471
6 Si 0.3245 0.1925 0.2512
7 Si 0.6748 0.6318 0.7585
8 Si 0.1757 0.2759 0.7529
9 Si 0.3997 0.5610 0.2533
10 Si 0.3682 0.3252 0.2415
11 Si 0.8117 0.2385 0.7471
12 Si 0.1709 0.6395 0.2641
13 Mg 0.9162 0.4639 0.2533
14 Mg 0.5036 0.3306 0.7518
15 Mg 0.5361 0.0838 0.7467
16 Mg 0.0564 0.6146 0.7651
17 Mg 0.1237 0.9742 0.2401
18 Mg 0.0258 0.8763 0.7599
19 Mg 0.3854 0.9436 0.2349
20 Mg 0.6694 0.4964 0.2482
21 Mg 0.0154 0.2282 0.7486
22 Mg 0.7718 0.9846 0.2514

5.
The following is a PBE calculation of a geometry-optimized Mg4Si3 structure, from the Materials Project database.

Results
Size of the total moment, μB/f.u.: 0.00
E_form, eV per atom: 0.0618

a b c (Å): 6.5577 7.1845 8.2508
angles (deg): 79.14 56.80 108.96
Element x y z (fractional)
1 Mg 0.4024 0.9430 0.1660
2 Mg 0.8085 0.4158 0.0429
3 Mg 0.8662 0.7643 0.6821
4 Mg 0.9324 0.0654 0.2467
5 Mg 0.0926 0.1556 0.7969
6 Mg 0.7840 0.5021 0.4168
7 Mg 0.3766 0.8928 0.8090
8 Mg 0.3163 0.6386 0.5366
9 Si 0.4234 0.0865 0.4543
10 Si 0.7579 0.3025 0.7551
11 Si 0.0681 0.2083 0.4765
12 Si 0.3419 0.4828 0.8539
13 Si 0.3322 0.5457 0.1423
14 Si 0.7471 0.7464 0.1208

6.
The following is a PBE calculation of a geometry-optimized Mg2Si3 structure, from the Materials Project database.

Results
Size of the total moment, μB/f.u.: 0.00
E_form, eV per atom: 0.1543

a b c (Å): 4.2584 5.5385 8.4939
angles (deg): 77.90 82.46 72.27
Element x y z (fractional)
1 Si 0.4529 0.8448 0.6120
2 Si 0.0315 0.6145 0.6174
3 Si 0.1285 0.3738 0.8908
4 Si 0.9685 0.3855 0.3826
5 Si 0.5471 0.1552 0.3880
6 Si 0.8715 0.6262 0.1092
7 Mg 0.6558 0.1812 0.0731
8 Mg 0.3442 0.8188 0.9269
9 Mg 0.7278 0.2028 0.6988
10 Mg 0.2722 0.7972 0.3012

7.
The following is a PBE calculation of a geometry-optimized Mg3Si4 structure, from the Materials Project database.

Results
Size of the total moment, μB/f.u.: 0.00
E_form, eV per atom: 0.1720

a b c (Å): 3.9447 8.2527 9.0023
angles (deg): 110.62 99.94 95.38
Element x y z (fractional)
1 Mg 0.7135 0.5875 0.5160
2 Mg 0.0418 0.3763 0.2231
3 Mg 0.3345 0.8724 0.7548
4 Mg 0.4478 0.3471 0.9348
5 Mg 0.1179 0.0849 0.4962
6 Mg 0.0013 0.6645 0.9711
7 Si 0.6577 0.9376 0.1578
8 Si 0.7607 0.3324 0.6626
9 Si 0.8745 0.1154 0.8082
10 Si 0.6029 0.6664 0.2123
11 Si 0.5509 0.2146 0.3377
12 Si 0.3190 0.5232 0.7225
13 Si 0.1938 0.7475 0.3951
14 Si 0.1306 0.0303 0.0545

8.
The following is a PBE calculation of a geometry-optimized Mg4Si3 structure, from the Materials Project database.

Results
Size of the total moment, μB/f.u.: 0.00
E_form, eV per atom: 0.1155

a b c (Å): 6.0741 7.2041 12.9288
angles (deg): 93.12 93.37 108.19
Element x y z (fractional)
1 Mg 0.0856 0.3877 0.9220
2 Mg 0.1726 0.5903 0.2394
3 Mg 0.2633 0.2049 0.7215
4 Mg 0.1191 0.9296 0.4273
5 Mg 0.3682 0.3262 0.3667
6 Mg 0.3758 0.9980 0.1978
7 Mg 0.6158 0.4327 0.1467
8 Mg 0.8466 0.8764 0.6527
9 Mg 0.3376 0.8431 0.6309
10 Mg 0.8293 0.8754 0.8878
11 Mg 0.9324 0.4844 0.6886
12 Mg 0.8330 0.8575 0.2005
13 Mg 0.5671 0.8279 0.4225
14 Mg 0.3092 0.8549 0.8567
15 Mg 0.8205 0.2242 0.3303
16 Mg 0.6209 0.4415 0.9135
17 Si 0.6973 0.1490 0.7833
18 Si 0.1316 0.5490 0.4687
19 Si 0.4863 0.7376 0.0422
20 Si 0.4505 0.5874 0.7520
21 Si 0.9637 0.2090 0.5323
22 Si 0.5388 0.5270 0.5732
23 Si 0.5517 0.1835 0.5437
24 Si 0.6792 0.1133 0.0254
25 Si 0.0706 0.2190 0.1511
26 Si 0.0581 0.7136 0.0365
27 Si 0.2626 0.1249 0.0055
28 Si 0.7935 0.5888 0.3453

9.
The following is a PBE calculation of a geometry-optimized Mg5Si6 structure, from the Materials Project database.

Results
Size of the total moment, μB/f.u.: 0.00
E_form, eV per atom: 0.1241

a b c (Å): 15.0257 15.0257 6.9530
angles (deg): 76.66 76.66 15.26
Element x y z (fractional)
1 Si 0.6564 0.6564 0.8947
2 Si 0.3400 0.3400 0.9442
3 Si 0.1399 0.1399 0.1918
4 Si 0.5890 0.5890 0.3285
5 Si 0.5285 0.5285 0.1471
6 Si 0.4152 0.4152 0.0077
7 Si 0.7190 0.7190 0.5954
8 Si 0.4741 0.4741 0.6992
9 Si 0.5566 0.5566 0.6989
10 Si 0.7957 0.7957 0.6501
11 Si 0.3464 0.3464 0.5733
12 Si 0.7899 0.7899 0.0176
13 Mg 0.2298 0.2298 0.8774
14 Mg 0.0832 0.0832 0.9413
15 Mg 0.9812 0.9812 0.9981
16 Mg 0.1538 0.1538 0.5736
17 Mg 0.2739 0.2739 0.3475
18 Mg 0.9052 0.9052 0.7129
19 Mg 0.0204 0.0204 0.4512
20 Mg 0.7006 0.7006 0.2301
21 Mg 0.4399 0.4399 0.3632
22 Mg 0.8655 0.8655 0.2528

10.
The following is a PBE calculation of a geometry-optimized Mg4Si3 structure, from the Materials Project database.

Results
Size of the total moment, μB/f.u.: 0.00
E_form, eV per atom: 0.0550

a b c (Å): 4.7480 7.5343 8.0076
angles (deg): 89.00 88.00 87.81
Element x y z (fractional)
1 Si 0.5589 0.5938 0.2014
2 Si 0.2194 0.1588 0.3148
3 Si 0.6070 0.4648 0.6697
4 Si 0.0721 0.1388 0.0301
5 Si 0.5105 0.6779 0.8992
6 Si 0.0178 0.9439 0.5024
7 Mg 0.5741 0.2831 0.9618
8 Mg 0.1220 0.2520 0.6847
9 Mg 0.0082 0.8574 0.8332
10 Mg 0.1001 0.5769 0.4408
11 Mg 0.0561 0.5093 0.0576
12 Mg 0.5256 0.8184 0.5752
13 Mg 0.6982 0.2911 0.3812
14 Mg 0.6800 0.9337 0.1981

11.
The following is a PBE calculation of a geometry-optimized Mg2Si3 structure, from the Materials Project database.

Results
Size of the total moment, μB/f.u.: 0.00
E_form, eV per atom: 0.1916

a b c (Å): 4.6689 5.4035 15.2252
angles (deg): 91.72 94.18 113.57
Element x y z (fractional)
1 Mg 0.8254 0.6927 0.4902
2 Mg 0.1746 0.3073 0.5098
3 Mg 0.6425 0.3057 0.9909
4 Mg 0.3575 0.6943 0.0091
5 Mg 0.4749 0.9332 0.8212
6 Mg 0.0287 0.0377 0.3155
7 Mg 0.9713 0.9623 0.6845
8 Mg 0.5251 0.0668 0.1788
9 Si 0.1766 0.3224 0.8403
10 Si 0.3156 0.6234 0.3513
11 Si 0.5646 0.0758 0.4234
12 Si 0.8234 0.6776 0.1597
13 Si 0.2697 0.5537 0.6853
14 Si 0.2475 0.4949 0.1913
15 Si 0.4354 0.9242 0.5766
16 Si 0.7525 0.5051 0.8087
17 Si 0.9791 0.9135 0.9206
18 Si 0.6844 0.3766 0.6487
19 Si 0.0209 0.0865 0.0794
20 Si 0.7303 0.4463 0.3147

12.
The following is a PBE calculation of a geometry-optimized Mg4Si3 structure, from the Materials Project database.

Results
Size of the total moment, μB/f.u.: 0.00
E_form, eV per atom: 0.1601

a b c (Å): 6.8349 7.2139 10.8559
angles (deg): 125.88 44.67 125.22
Element x y z (fractional)
1 Mg 0.2705 0.5387 0.2047
2 Mg 0.4034 0.0668 0.3700
3 Mg 0.6820 0.6408 0.4070
4 Mg 0.6819 0.1408 0.9070
5 Mg 0.2705 0.0387 0.7047
6 Mg 0.0021 0.9719 0.1615
7 Mg 0.0021 0.4719 0.6615
8 Mg 0.4034 0.5668 0.8700
9 Si 0.9081 0.2718 0.0788
10 Si 0.3452 0.3031 0.2833
11 Si 0.7638 0.8320 0.9947
12 Si 0.3452 0.8031 0.7833
13 Si 0.7638 0.3320 0.4947
14 Si 0.9081 0.7718 0.5788

13.
The following is a PBE calculation of a geometry-optimized Mg4Si7 structure, from the Materials Project database.

Results
Size of the total moment, μB/f.u.: 0.00
E_form, eV per atom: 0.1686

a b c (Å): 4.2679 6.5433 14.3050
angles (deg): 78.48 90.00 90.00
Element x y z (fractional)
1 Si 0.5000 0.9529 0.8919
2 Si 0.0000 0.4978 0.2027
3 Si 0.5000 0.8001 0.2819
4 Si 0.5000 0.8827 0.4351
5 Si 0.0000 0.8800 0.1939
6 Si 0.5000 0.6754 0.7152
7 Si 0.0000 0.5329 0.7914
8 Si 0.5000 0.4251 0.2969
9 Si 0.0000 0.7214 0.9225
10 Si 0.0000 0.1272 0.8148
11 Si 0.0000 0.0374 0.0226
12 Si 0.5000 0.0531 0.7046
13 Si 0.0000 0.4099 0.0470
14 Si 0.5000 0.5875 0.5603
15 Mg 0.0000 0.3364 0.6303
16 Mg 0.0000 0.5891 0.4143
17 Mg 0.5000 0.7113 0.0763
18 Mg 0.0000 0.1095 0.3429
19 Mg 0.0000 0.8862 0.5832
20 Mg 0.5000 0.1876 0.1516
21 Mg 0.5000 0.3629 0.9226
22 Mg 0.5000 0.2338 0.4944

14.
The following is a PBE calculation of a geometry-optimized Mg3Si4 structure, from the Materials Project database.

Results
Size of the total moment, μB/f.u.: 0.00
E_form, eV per atom: 0.1103

a b c (Å): 5.8722 7.1019 7.6125
angles (deg): 111.88 111.14 93.82
Element x y z (fractional)
1 Mg 0.3279 0.7854 0.0661
2 Mg 0.7349 0.6697 0.7563
3 Mg 0.1663 0.2103 0.0655
4 Mg 0.7439 0.2933 0.3796
5 Mg 0.9345 0.9496 0.5335
6 Mg 0.7313 0.4930 0.0573
7 Si 0.5096 0.6226 0.3557
8 Si 0.2843 0.4509 0.6895
9 Si 0.9566 0.3485 0.7776
10 Si 0.4397 0.9291 0.5914
11 Si 0.3227 0.1558 0.4287
12 Si 0.1462 0.5948 0.4350
13 Si 0.5575 0.0604 0.9610
14 Si 0.8983 0.9368 0.1565

15.
The following is a PBE calculation of a geometry-optimized Mg2Si3 structure, from the Materials Project database.

Results
Size of the total moment, μB/f.u.: 0.00
E_form, eV per atom: 0.1001

a b c (Å): 3.8590 6.1872 8.9961
angles (deg): 100.64 102.35 107.23
Element x y z (fractional)
1 Mg 0.1321 0.2777 0.4962
2 Mg 0.8679 0.7223 0.5038
3 Mg 0.8298 0.0169 0.1473
4 Mg 0.1702 0.9831 0.8527
5 Si 0.5001 0.6120 0.9043
6 Si 0.8552 0.4850 0.7350
7 Si 0.5982 0.0592 0.6452
8 Si 0.1448 0.5150 0.2650
9 Si 0.4018 0.9408 0.3548
10 Si 0.4999 0.3880 0.0957

16.
The following is a PBE calculation of a geometry-optimized Mg4Si7 structure, from the Materials Project database.

Results
Size of the total moment, μB/f.u.: 0.00
E_form, eV per atom: 0.1538

a b c (Å): 4.3140 6.8483 13.6384
angles (deg): 85.56 89.77 89.07
Element x y z (fractional)
1 Si 0.7106 0.2002 0.7955
2 Si 0.1413 0.8567 0.2981
3 Si 0.2078 0.2139 0.6989
4 Si 0.1983 0.6923 0.0496
5 Si 0.2141 0.5026 0.3172
6 Si 0.7160 0.8383 0.8064
7 Si 0.2038 0.3904 0.1549
8 Si 0.2440 0.0110 0.4429
9 Si 0.2238 0.9878 0.1339
10 Si 0.7019 0.6607 0.9655
11 Si 0.2171 0.8534 0.7202
12 Si 0.6998 0.3144 0.9586
13 Si 0.1810 0.7350 0.5603
14 Si 0.7152 0.1825 0.1283
15 Mg 0.6810 0.6879 0.4247
16 Mg 0.6882 0.5325 0.6578
17 Mg 0.6877 0.6802 0.1916
18 Mg 0.2025 0.3658 0.5081
19 Mg 0.1988 0.4927 0.8453
20 Mg 0.7226 0.0417 0.5829
21 Mg 0.7276 0.2165 0.3387
22 Mg 0.2096 0.0471 0.9243

17.
The following is a PBE calculation of a geometry-optimized Mg2Si3 structure, from the Materials Project database.

Results
Size of the total moment, μB/f.u.: 0.00
E_form, eV per atom: 0.1898

a b c (Å): 3.7108 5.7436 19.3515
angles (deg): 89.22 93.90 105.37
Element x y z (fractional)
1 Mg 0.6480 0.6751 0.4536
2 Mg 0.1826 0.7461 0.3064
3 Mg 0.8793 0.1852 0.2300
4 Mg 0.0889 0.3213 0.5580
5 Mg 0.7644 0.0067 0.0750
6 Mg 0.1793 0.4603 0.7134
7 Mg 0.0143 0.6198 0.8581
8 Mg 0.2814 0.1091 0.9411
9 Si 0.6014 0.7270 0.9568
10 Si 0.2324 0.8766 0.1731
11 Si 0.4716 0.4338 0.0475
12 Si 0.9050 0.0835 0.3719
13 Si 0.9185 0.1518 0.8175
14 Si 0.3322 0.9772 0.7599
15 Si 0.4636 0.1645 0.4543
16 Si 0.6868 0.6885 0.6226
17 Si 0.2166 0.8377 0.5539
18 Si 0.5211 0.3691 0.3354
19 Si 0.5881 0.0725 0.6491
20 Si 0.0242 0.4941 0.1225